Entry from the Materials Project database: CaZn5 after structural relaxation (GGA-PBE).

## Properties
Theoretical density, g/cm³: 5.7
Uncorrected energy, eV per formula unit: -9.67

```
data_CaZn5
_chemical_formula_sum 'Ca1 Zn5'
_cell_length_a 5.3973
_cell_length_b 5.3973
_cell_length_c 4.2530
_cell_angle_alpha 90.00
_cell_angle_beta 90.00
_cell_angle_gamma 120.00
_symmetry_space_group_name_H-M 'P 6/m m m'
_symmetry_Int_Tables_number 191
_symmetry_space_group_name_Hall '-P 6 2'
loop_
_atom_site_label
_atom_site_fract_x
_atom_site_fract_y
_atom_site_fract_z
Ca1 0.0000 0.0000 0.0000
Zn1 0.0000 0.5000 0.5000
Zn2 0.3333 0.6667 0.0000
```